1.
A plane-wave DFT calculation with PBE was carried out for a geometry-optimized Ce2AlFe3 structure. Values from VASP.

The structure in Quantum ESPRESSO input format:
```
&SYSTEM
  ibrav = 0, nat = 6, ntyp = 3
/
ATOMIC_SPECIES
Ce 140.12 Ce.upf
Al 26.98 Al.upf
Fe 55.84 Fe.upf
CELL_PARAMETERS angstrom
-4.376 -2.652 0.544
-0.013 -4.088 3.125
-2.531 0.341 4.467
ATOMIC_POSITIONS crystal
Ce 0.618 0.618 0.618
Ce 0.382 0.382 0.382
Al 0.000 0.000 0.000
Fe 0.000 0.500 0.000
Fe 0.500 0.000 0.000
Fe 0.000 0.000 0.500
```

- energy (eV/cell) = -42.015
- theoretical density (g/cm³) = 7.9

2.
A plane-wave DFT calculation with PBE was carried out for a geometry-optimized Ce2Al3Fe structure. Values from VASP.

The structure in Quantum ESPRESSO input format:
```
&SYSTEM
  ibrav = 0, nat = 6, ntyp = 3
/
ATOMIC_SPECIES
Ce 140.12 Ce.upf
Al 26.98 Al.upf
Fe 55.84 Fe.upf
CELL_PARAMETERS angstrom
-4.812 -2.535 0.654
-0.595 -5.145 -1.782
-0.422 -4.075 3.636
ATOMIC_POSITIONS crystal
Ce 0.626 0.626 0.626
Ce 0.374 0.374 0.374
Al 0.000 0.500 0.000
Al 0.500 0.000 0.000
Al 0.000 0.000 0.500
Fe 0.000 0.000 0.000
```

- energy (eV/cell) = -33.602
- theoretical density (g/cm³) = 5.9
- spin magnetization (μB/f.u.) = 1.2

3.
A plane-wave DFT calculation with PBE was carried out for a geometry-optimized Ce2Al3GaPd4 structure. Values from VASP.

The structure in Quantum ESPRESSO input format:
```
&SYSTEM
  ibrav = 0, nat = 10, ntyp = 4
/
ATOMIC_SPECIES
Ce 140.12 Ce.upf
Al 26.98 Al.upf
Ga 69.72 Ga.upf
Pd 106.42 Pd.upf
CELL_PARAMETERS angstrom
-2.206 3.564 0.917
-2.221 -2.142 2.981
7.126 2.569 7.155
ATOMIC_POSITIONS crystal
Ce 0.500 0.000 0.255
Ce 0.000 0.500 0.745
Al 0.000 0.000 0.500
Al 0.500 0.000 0.875
Al 0.000 0.500 0.125
Ga 0.500 0.500 0.500
Pd 0.500 0.500 0.000
Pd 0.000 0.000 0.000
Pd 0.500 0.000 0.636
Pd 0.000 0.500 0.364
```

- energy (eV/cell) = -54.856
- theoretical density (g/cm³) = 7.4
- spin magnetization (μB/f.u.) = 1.8

4.
A plane-wave DFT calculation with PBE was carried out for a geometry-optimized CeAlH2Ir structure. Values from VASP.

The structure in Quantum ESPRESSO input format:
```
&SYSTEM
  ibrav = 0, nat = 10, ntyp = 4
/
ATOMIC_SPECIES
Ce 140.12 Ce.upf
Al 26.98 Al.upf
H 1.01 H.upf
Ir 192.22 Ir.upf
CELL_PARAMETERS angstrom
2.181 -3.778 0.000
2.181 3.778 0.000
0.000 0.000 8.288
ATOMIC_POSITIONS crystal
Ce 0.000 0.000 0.500
Ce 0.000 0.000 0.000
Al 0.333 0.667 0.750
Al 0.667 0.333 0.250
H 0.333 0.667 0.045
H 0.667 0.333 0.955
H 0.667 0.333 0.545
H 0.333 0.667 0.455
Ir 0.333 0.667 0.250
Ir 0.667 0.333 0.750
```

- energy (eV/cell) = -57.084
- theoretical density (g/cm³) = 8.8
- spin magnetization (μB/f.u.) = 0.8

5.
A plane-wave DFT calculation with PBE was carried out for a geometry-optimized Ce2Al9Ir3 structure. Values from VASP.

The structure in Quantum ESPRESSO input format:
```
&SYSTEM
  ibrav = 0, nat = 28, ntyp = 3
/
ATOMIC_SPECIES
Ce 140.12 Ce.upf
Al 26.98 Al.upf
Ir 192.22 Ir.upf
CELL_PARAMETERS angstrom
3.825 -6.587 0.000
3.825 6.587 0.000
0.000 0.000 9.448
ATOMIC_POSITIONS crystal
Ce 0.996 0.669 0.250
Ce 0.004 0.331 0.750
Ce 0.669 0.996 0.250
Ce 0.331 0.004 0.750
Al 0.128 0.128 0.250
Al 0.872 0.872 0.750
Al 0.003 0.334 0.074
Al 0.997 0.666 0.926
Al 0.997 0.666 0.574
Al 0.334 0.003 0.426
Al 0.003 0.334 0.426
Al 0.666 0.997 0.574
Al 0.666 0.997 0.926
Al 0.334 0.003 0.074
Al 0.335 0.335 0.555
Al 0.665 0.665 0.445
Al 0.665 0.665 0.055
Al 0.335 0.335 0.945
Al 0.339 0.545 0.250
Al 0.661 0.455 0.750
Al 0.545 0.339 0.250
Al 0.455 0.661 0.750
Ir 0.672 0.328 0.000
Ir 0.328 0.672 0.000
Ir 0.328 0.672 0.500
Ir 0.672 0.328 0.500
Ir 0.000 0.000 0.000
Ir 0.000 0.000 0.500
```

- energy (eV/cell) = -167.644
- theoretical density (g/cm³) = 7.7

6.
A plane-wave DFT calculation with PBE was carried out for a geometry-optimized K2CeAlSi4O12 structure. Values from VASP.

The structure in Quantum ESPRESSO input format:
```
&SYSTEM
  ibrav = 0, nat = 80, ntyp = 5
/
ATOMIC_SPECIES
K 39.10 K.upf
Ce 140.12 Ce.upf
Al 26.98 Al.upf
Si 28.09 Si.upf
O 16.00 O.upf
CELL_PARAMETERS angstrom
3.731 13.575 0.000
-3.731 13.575 0.000
0.000 8.344 12.592
ATOMIC_POSITIONS crystal
K 0.196 0.190 0.526
K 0.190 0.196 0.026
K 0.804 0.810 0.474
K 0.810 0.804 0.974
K 0.795 0.279 0.537
K 0.279 0.795 0.037
K 0.205 0.721 0.463
K 0.721 0.205 0.963
Ce 0.982 0.557 0.751
Ce 0.557 0.982 0.251
Ce 0.018 0.443 0.249
Ce 0.443 0.018 0.749
Al 0.117 0.740 0.729
Al 0.740 0.117 0.229
Al 0.883 0.260 0.271
Al 0.260 0.883 0.771
Si 0.632 0.695 0.996
Si 0.695 0.632 0.496
Si 0.368 0.305 0.004
Si 0.305 0.368 0.504
Si 0.636 0.679 0.210
Si 0.679 0.636 0.710
Si 0.364 0.321 0.790
Si 0.321 0.364 0.290
Si 0.739 0.026 0.659
Si 0.026 0.739 0.159
Si 0.261 0.974 0.341
Si 0.974 0.261 0.841
Si 0.324 0.799 0.578
Si 0.799 0.324 0.078
Si 0.676 0.201 0.422
Si 0.201 0.676 0.922
O 0.541 0.240 0.691
O 0.240 0.541 0.191
O 0.459 0.760 0.309
O 0.760 0.459 0.809
O 0.773 0.051 0.530
O 0.051 0.773 0.030
O 0.227 0.949 0.470
O 0.949 0.227 0.970
O 0.220 0.927 0.655
O 0.927 0.220 0.155
O 0.780 0.073 0.345
O 0.073 0.780 0.845
O 0.635 0.553 0.049
O 0.553 0.635 0.549
O 0.365 0.447 0.951
O 0.447 0.365 0.451
O 0.568 0.764 0.100
O 0.764 0.568 0.600
O 0.432 0.236 0.900
O 0.236 0.432 0.400
O 0.415 0.162 0.568
O 0.162 0.415 0.068
O 0.585 0.838 0.432
O 0.838 0.585 0.932
O 0.119 0.541 0.570
O 0.541 0.119 0.070
O 0.881 0.459 0.430
O 0.459 0.881 0.930
O 0.910 0.940 0.676
O 0.940 0.910 0.176
O 0.090 0.060 0.324
O 0.060 0.090 0.824
O 0.823 0.448 0.236
O 0.448 0.823 0.736
O 0.177 0.552 0.764
O 0.552 0.177 0.264
O 0.294 0.690 0.628
O 0.690 0.294 0.128
O 0.706 0.310 0.372
O 0.310 0.706 0.872
O 0.729 0.899 0.723
O 0.899 0.729 0.223
O 0.271 0.101 0.277
O 0.101 0.271 0.777
O 0.739 0.703 0.696
O 0.703 0.739 0.196
O 0.261 0.297 0.304
O 0.297 0.261 0.804
```

- theoretical density (g/cm³) = 2.9
- MP2020-corrected energy (eV per cell) = -632.9
- spin magnetization (μB/f.u.) = 1.0

7.
A plane-wave DFT calculation with PBE was carried out for a geometry-optimized LaCeAl4 structure. Values from VASP.

The structure in Quantum ESPRESSO input format:
```
&SYSTEM
  ibrav = 0, nat = 6, ntyp = 3
/
ATOMIC_SPECIES
La 138.91 La.upf
Ce 140.12 Ce.upf
Al 26.98 Al.upf
CELL_PARAMETERS angstrom
0.000 4.014 4.014
4.014 0.000 4.014
4.014 4.014 0.000
ATOMIC_POSITIONS crystal
La 0.000 0.000 0.000
Ce 0.250 0.250 0.250
Al 0.625 0.625 0.126
Al 0.625 0.126 0.625
Al 0.126 0.625 0.625
Al 0.625 0.625 0.625
```

- energy (eV/cell) = -28.635
- theoretical density (g/cm³) = 5.0
- spin magnetization (μB/f.u.) = 0.6

8.
A plane-wave DFT calculation with PBE was carried out for a geometry-optimized Li2CeAl structure. Values from VASP.

The structure in Quantum ESPRESSO input format:
```
&SYSTEM
  ibrav = 0, nat = 4, ntyp = 3
/
ATOMIC_SPECIES
Li 6.94 Li.upf
Ce 140.12 Ce.upf
Al 26.98 Al.upf
CELL_PARAMETERS angstrom
-3.820 -3.618 -0.404
-4.785 1.330 -1.978
-1.546 -1.753 -4.842
ATOMIC_POSITIONS crystal
Li 0.000 0.000 0.000
Li 0.500 0.500 0.500
Ce 0.750 0.750 0.750
Al 0.250 0.250 0.250
```

- theoretical density (g/cm³) = 2.8
- spin magnetization (μB/f.u.) = 1.1
- E above lowest polymorph (meV per atom) = 181.1

Which of these has the lowest theoretical density? Li2CeAl